[1]
This record from the Materials Project describes a relaxed structure of Sr2HfCrO6. The functional is PBE with a Hubbard U.

abc: 9.8329 5.6391 9.8522
angles: 90.00 110.04 90.00
Space group C2/m (No. 12)
Unique sites:
Sr 0.1245 0.0000 0.3745 (multiplicity 4)
Sr 0.1251 0.5000 0.8749 (multiplicity 4)
Hf 0.2496 0.0000 0.7499 (multiplicity 4)
Cr 0.0000 0.0000 0.0000 (multiplicity 2)
Cr 0.0000 0.5000 0.5000 (multiplicity 2)
O 0.1198 0.2406 0.1207 (multiplicity 8)
O 0.1213 0.2583 0.6211 (multiplicity 8)
O 0.1212 0.5000 0.3777 (multiplicity 4)
O 0.1232 0.0000 0.8775 (multiplicity 4)

Summary:
For the total energy, the calculation gives -314.1 eV per cell. The calculation puts the MP2020-corrected energy at -0.311 hartree per atom.

[2]
This record from the Materials Project describes a relaxed structure of Cr2Hg6O9. The functional is PBE with a Hubbard U.

abc: 7.6513 8.2309 20.8241
angles: 90.00 90.00 90.00
Space group P2_12_12_1 (No. 19)
Unique sites:
Cr 0.0250 0.0869 0.0590 (multiplicity 4)
Cr 0.2011 0.8102 0.7984 (multiplicity 4)
Hg 0.0258 0.0226 0.4544 (multiplicity 4)
Hg 0.0355 0.4360 0.8601 (multiplicity 4)
Hg 0.0910 0.6468 0.6204 (multiplicity 4)
Hg 0.0967 0.7850 0.3055 (multiplicity 4)
Hg 0.1217 0.2458 0.5361 (multiplicity 4)
Hg 0.2091 0.6866 0.1943 (multiplicity 4)
O 0.0199 0.2829 0.0954 (multiplicity 4)
O 0.0602 0.9405 0.7673 (multiplicity 4)
O 0.0934 0.6944 0.8540 (multiplicity 4)
O 0.1150 0.1000 0.9875 (multiplicity 4)
O 0.1342 0.0856 0.3333 (multiplicity 4)
O 0.1426 0.9629 0.1038 (multiplicity 4)
O 0.1752 0.5170 0.4484 (multiplicity 4)
O 0.2205 0.3061 0.2406 (multiplicity 4)
O 0.2296 0.4226 0.6025 (multiplicity 4)

Summary:
For the total energy, the calculation gives -294.9 eV per cell. The calculation puts the MP2020-corrected energy at -0.181 hartree per atom.

[3]
This record from the Materials Project describes a relaxed structure of CrHg3O5. The functional is PBE with a Hubbard U.

abc: 11.8199 9.6383 10.6802
angles: 90.00 90.00 90.00
Space group Pca2_1 (No. 29)
Unique sites:
Cr 0.1363 0.0525 0.9996 (multiplicity 4)
Cr 0.1436 0.5516 0.0000 (multiplicity 4)
Hg 0.0904 0.2452 0.4992 (multiplicity 4)
Hg 0.0939 0.5746 0.3316 (multiplicity 4)
Hg 0.0974 0.6610 0.6684 (multiplicity 4)
Hg 0.1145 0.8447 0.3234 (multiplicity 4)
Hg 0.1215 0.9318 0.6806 (multiplicity 4)
Hg 0.2476 0.2647 0.2496 (multiplicity 4)
O 0.0185 0.9948 0.9257 (multiplicity 4)
O 0.0247 0.5053 0.0794 (multiplicity 4)
O 0.0966 0.3422 0.3233 (multiplicity 4)
O 0.1091 0.1637 0.6792 (multiplicity 4)
O 0.1337 0.2225 0.9990 (multiplicity 4)
O 0.1375 0.4988 0.8487 (multiplicity 4)
O 0.1397 0.0015 0.1505 (multiplicity 4)
O 0.1477 0.7207 0.0005 (multiplicity 4)
O 0.2386 0.4936 0.5712 (multiplicity 4)
O 0.2459 0.0050 0.4217 (multiplicity 4)

Summary:
For the total energy, the calculation gives -314.7 eV per cell. The calculation puts the MP2020-corrected energy at -0.183 hartree per atom.

[4]
This record from the Materials Project describes a relaxed structure of CrHgPb2O6. The functional is PBE with a Hubbard U.

abc: 6.5937 7.3457 7.9926
angles: 90.81 93.53 110.00
Space group P-1 (No. 2)
Unique sites:
Cr 0.1990 0.2658 0.1493 (multiplicity 2)
Hg 0.1837 0.1988 0.6358 (multiplicity 2)
Pb 0.2748 0.7559 0.1428 (multiplicity 2)
Pb 0.3267 0.7649 0.6069 (multiplicity 2)
O 0.0432 0.8447 0.7773 (multiplicity 2)
O 0.0888 0.7326 0.3751 (multiplicity 2)
O 0.1604 0.3578 0.9660 (multiplicity 2)
O 0.3367 0.1112 0.1320 (multiplicity 2)
O 0.3434 0.4482 0.2813 (multiplicity 2)
O 0.4468 0.1117 0.6299 (multiplicity 2)

Summary:
For the total energy, the calculation gives -111.9 eV per cell. The calculation puts the MP2020-corrected energy at -0.228 hartree per atom.

[5]
This record from the Materials Project describes a relaxed structure of CrHg5S2O5. The functional is PBE with a Hubbard U.

abc: 7.2006 8.4627 9.6759
angles: 83.27 80.47 69.11
Space group P-1 (No. 2)
Unique sites:
Cr 0.0925 0.3770 0.2990 (multiplicity 2)
Hg 0.1135 0.7185 0.0267 (multiplicity 2)
Hg 0.1685 0.8778 0.3387 (multiplicity 2)
Hg 0.3060 0.1804 0.6517 (multiplicity 2)
Hg 0.3497 0.4349 0.9184 (multiplicity 2)
Hg 0.5000 0.0000 0.0000 (multiplicity 1)
Hg 0.5000 0.5000 0.5000 (multiplicity 1)
S 0.0896 0.0503 0.8107 (multiplicity 2)
S 0.3977 0.8012 0.5110 (multiplicity 2)
O 0.1146 0.2306 0.4335 (multiplicity 2)
O 0.1500 0.4891 0.6951 (multiplicity 2)
O 0.1572 0.2806 0.1477 (multiplicity 2)
O 0.2387 0.4889 0.3040 (multiplicity 2)
O 0.4771 0.8160 0.1509 (multiplicity 2)

Summary:
For the total energy, the calculation gives -98.4 eV per cell. The calculation puts the MP2020-corrected energy at -0.157 hartree per atom.

[6]
This record from the Materials Project describes a relaxed structure of HoMgCr2O6. The functional is PBE with a Hubbard U.

abc: 7.5369 5.4013 5.1568
angles: 90.00 90.00 90.00
Space group Pmn2_1 (No. 31)
Unique sites:
Ho 0.0000 0.1821 0.0000 (multiplicity 2)
Mg 0.0000 0.6947 0.4723 (multiplicity 2)
Cr 0.2499 0.2556 0.4849 (multiplicity 4)
O 0.0000 0.3105 0.5943 (multiplicity 2)
O 0.0000 0.7883 0.8586 (multiplicity 2)
O 0.1891 0.4449 0.1853 (multiplicity 4)
O 0.1902 0.9432 0.3071 (multiplicity 4)

Summary:
For the total energy, the calculation gives -149.7 eV per cell. The calculation puts the MP2020-corrected energy at -0.305 hartree per atom.

[7]
This record from the Materials Project describes a relaxed structure of HoCrO2. The functional is PBE with a Hubbard U.

abc: 6.1011 6.1011 11.6712
angles: 90.00 90.00 90.00
Space group I4_1/amd (No. 141, origin choice 2)
Unique sites:
Ho 0.0000 0.0000 0.0000 (multiplicity 8)
Cr 0.0000 0.0000 0.5000 (multiplicity 8)
O 0.0000 0.0250 0.2017 (multiplicity 16)

Summary:
For the total energy, the calculation gives -245.0 eV per cell. The calculation puts the MP2020-corrected energy at -0.312 hartree per atom.

[8]
This record from the Materials Project describes a relaxed structure of Ho2CrSbO7. The functional is PBE with a Hubbard U.

abc: 7.2440 7.3187 10.2674
angles: 90.00 90.00 90.00
Space group Imma (No. 74)
Unique sites:
Ho 0.0000 0.0000 0.0000 (multiplicity 4)
Ho 0.2500 0.2500 0.2500 (multiplicity 4)
Cr 0.2500 0.2500 0.7500 (multiplicity 4)
Sb 0.0000 0.0000 0.5000 (multiplicity 4)
O 0.0000 0.2500 0.1281 (multiplicity 4)
O 0.0000 0.2500 0.4161 (multiplicity 4)
O 0.0000 0.2500 0.8412 (multiplicity 4)
O 0.2065 0.0376 0.6254 (multiplicity 16)

Summary:
For the total energy, the calculation gives -333.3 eV per cell. The calculation puts the MP2020-corrected energy at -0.301 hartree per atom.

| no. | calculated formation energy (eV/f.u.) |
| --- | --- |
| 1 | -31.96 |
| 2 | -18.25 |
| 3 | -9.47 |
| 4 | -15.01 |
| 5 | -11.46 |
| 6 | -27.80 |
| 7 | -9.87 |
| 8 | -32.56 |